Record 1
Here is a relaxed Ba2MgMo4P8O28 crystal from Materials Project. Energies are from PBE with a Hubbard U.

## Properties
- Density: 3695 kg/m³
- Energy above the most stable polymorph in this dataset: 31 meV per atom
- Symmetry: P1
- Crystal system: triclinic
- ΔH_f (0 K): -2596 meV/atom

Cell lengths 7.9060, 7.8250, 10.2652 Å; angles 81.56, 80.57, 90.30 degrees
Atoms (fractional coordinates):
Ba (0.0207, 0.4443, 0.1145)
Ba (0.5020, 0.0100, 0.4907)
Mg (0.9818, 0.6575, 0.7855)
Mo (0.0027, 0.0085, 0.4917)
Mo (0.0085, 0.0011, 0.9918)
Mo (0.4558, 0.5283, 0.2550)
Mo (0.5448, 0.4755, 0.7404)
P (0.8006, 0.7568, 0.2920)
P (0.3062, 0.1404, 0.1919)
P (0.1991, 0.2541, 0.6984)
P (0.6942, 0.8566, 0.8066)
P (0.7605, 0.3914, 0.4428)
P (0.6529, 0.2687, 0.0354)
P (0.2408, 0.6172, 0.5535)
P (0.3529, 0.7281, 0.9631)
O (0.9207, 0.7941, 0.1574)
O (0.2912, 0.0024, 0.3125)
O (0.0838, 0.2066, 0.8322)
O (0.6623, 0.9908, 0.6945)
O (0.6098, 0.7437, 0.2833)
O (0.2896, 0.3246, 0.2302)
O (0.3908, 0.2697, 0.7023)
O (0.7245, 0.6737, 0.7634)
O (0.8243, 0.8744, 0.3939)
O (0.1740, 0.1250, 0.0998)
O (0.1764, 0.1426, 0.5917)
O (0.8585, 0.8843, 0.8659)
O (0.8588, 0.5605, 0.3453)
O (0.4977, 0.1330, 0.1078)
O (0.3188, 0.6807, 0.1153)
O (0.2571, 0.5922, 0.4091)
O (0.6458, 0.3030, 0.8876)
O (0.7446, 0.4225, 0.5860)
O (0.3670, 0.5649, 0.8959)
O (0.4137, 0.6471, 0.5990)
O (0.6425, 0.4316, 0.1050)
O (0.1378, 0.4521, 0.6507)
O (0.2117, 0.8421, 0.9143)
O (0.1134, 0.7598, 0.5932)
O (0.8156, 0.1736, 0.0660)
O (0.8775, 0.2447, 0.4070)
O (0.5335, 0.8374, 0.9272)
O (0.5851, 0.3676, 0.3980)



Record 2
Here is a relaxed Ba2MgMo4P8O28 crystal from Materials Project. Energies are from PBE with a Hubbard U.

## Properties
- Density: 3588 kg/m³
- Energy above the most stable polymorph in this dataset: 0 meV per atom
- Symmetry: C2
- Crystal system: monoclinic
- ΔH_f (0 K): -2627 meV/atom

Cell lengths 8.0106, 8.0107, 10.5080 Å; angles 76.68, 76.68, 84.90 degrees
Atoms (fractional coordinates):
Ba (0.0068, 0.4720, 0.0465)
Ba (0.5280, 0.9932, 0.4535)
Mg (0.0963, 0.9037, 0.7500)
Mo (0.9867, 0.9898, 0.4821)
Mo (0.0102, 0.0133, 0.0179)
Mo (0.4455, 0.5545, 0.2500)
Mo (0.5476, 0.4524, 0.7500)
P (0.7988, 0.7220, 0.2822)
P (0.2781, 0.2012, 0.2178)
P (0.1997, 0.2711, 0.7266)
P (0.7289, 0.8003, 0.7734)
P (0.7279, 0.3635, 0.4388)
P (0.6365, 0.2721, 0.0612)
P (0.2559, 0.6286, 0.5580)
P (0.3714, 0.7442, 0.9420)
O (0.9268, 0.7621, 0.1466)
O (0.2379, 0.0732, 0.3534)
O (0.0739, 0.2576, 0.8626)
O (0.7424, 0.9261, 0.6374)
O (0.6100, 0.7411, 0.2692)
O (0.2589, 0.3900, 0.2308)
O (0.3876, 0.2668, 0.7329)
O (0.7332, 0.6124, 0.7671)
O (0.8236, 0.8194, 0.3830)
O (0.1806, 0.1764, 0.1170)
O (0.1705, 0.1343, 0.6536)
O (0.8657, 0.8295, 0.8464)
O (0.8407, 0.5154, 0.3297)
O (0.4846, 0.1593, 0.1703)
O (0.3577, 0.7318, 0.0897)
O (0.2682, 0.6423, 0.4103)
O (0.6181, 0.2751, 0.9205)
O (0.7249, 0.3819, 0.5795)
O (0.3667, 0.5736, 0.8991)
O (0.4264, 0.6333, 0.6009)
O (0.6286, 0.4509, 0.0962)
O (0.1530, 0.4607, 0.6418)
O (0.2159, 0.8586, 0.9002)
O (0.1414, 0.7841, 0.5998)
O (0.7999, 0.1772, 0.0971)
O (0.8228, 0.2001, 0.4029)
O (0.5393, 0.8470, 0.8582)
O (0.5491, 0.3714, 0.4038)



Record 3
Here is a relaxed Ba2MgMo4P8O28 crystal from Materials Project. Energies are from PBE with a Hubbard U.

## Properties
- Density: 3615 kg/m³
- Energy above the most stable polymorph in this dataset: 4 meV per atom
- Symmetry: P1
- Crystal system: triclinic
- ΔH_f (0 K): -2622 meV/atom

Cell lengths 8.1141, 8.0244, 10.2476 Å; angles 77.90, 76.28, 84.68 degrees
Atoms (fractional coordinates):
Ba (0.9977, 0.5165, 0.9837)
Ba (0.4916, 0.0086, 0.5247)
Mg (0.6006, 0.9003, 0.0809)
Mo (0.0079, 0.0019, 0.4980)
Mo (0.0141, 0.0070, 0.0112)
Mo (0.4586, 0.5341, 0.2562)
Mo (0.5608, 0.4596, 0.7423)
P (0.8058, 0.7184, 0.2920)
P (0.2552, 0.2069, 0.2083)
P (0.2099, 0.2834, 0.7150)
P (0.7152, 0.8091, 0.7904)
P (0.7447, 0.3587, 0.4363)
P (0.6256, 0.2492, 0.0464)
P (0.2693, 0.6429, 0.5627)
P (0.3677, 0.7345, 0.9380)
O (0.9439, 0.7695, 0.1618)
O (0.2482, 0.0651, 0.3350)
O (0.0811, 0.2437, 0.8537)
O (0.7731, 0.9431, 0.6635)
O (0.6294, 0.7323, 0.2470)
O (0.2750, 0.3848, 0.2321)
O (0.3958, 0.2728, 0.7311)
O (0.7448, 0.6232, 0.7738)
O (0.7914, 0.8063, 0.4092)
O (0.1219, 0.2106, 0.1270)
O (0.1940, 0.1839, 0.6098)
O (0.7666, 0.8316, 0.9206)
O (0.8461, 0.5129, 0.3253)
O (0.4442, 0.1553, 0.1075)
O (0.4150, 0.7440, 0.0752)
O (0.2804, 0.6244, 0.4158)
O (0.6586, 0.2786, 0.8920)
O (0.7429, 0.3857, 0.5786)
O (0.3773, 0.5523, 0.9120)
O (0.4454, 0.6403, 0.5977)
O (0.6371, 0.4074, 0.1045)
O (0.1624, 0.4895, 0.6694)
O (0.1969, 0.8195, 0.9226)
O (0.1718, 0.8063, 0.5957)
O (0.7420, 0.0966, 0.0964)
O (0.8378, 0.1943, 0.4039)
O (0.5054, 0.8485, 0.8200)
O (0.5639, 0.3630, 0.4075)



Record 4
Here is a relaxed Ba2MgMo4P8O28 crystal from Materials Project. Energies are from PBE with a Hubbard U.

## Properties
- Density: 3632 kg/m³
- Energy above the most stable polymorph in this dataset: 14 meV per atom
- Symmetry: P1
- Crystal system: triclinic
- ΔH_f (0 K): -2613 meV/atom

Cell lengths 7.9036, 7.9684, 10.3948 Å; angles 78.42, 79.40, 88.66 degrees
Atoms (fractional coordinates):
Ba (0.0052, 0.5081, 0.0523)
Ba (0.4881, 0.9865, 0.5411)
Mg (0.8266, 0.3891, 0.7558)
Mo (0.9929, 0.9913, 0.4877)
Mo (0.0235, 0.0130, 0.0024)
Mo (0.4661, 0.5469, 0.2483)
Mo (0.4666, 0.4514, 0.7692)
P (0.8192, 0.7176, 0.3153)
P (0.2727, 0.1938, 0.1947)
P (0.1644, 0.2621, 0.6631)
P (0.7754, 0.8023, 0.8066)
P (0.7252, 0.3580, 0.4619)
P (0.6389, 0.2626, 0.0580)
P (0.2465, 0.6372, 0.5325)
P (0.3875, 0.7610, 0.9463)
O (0.9596, 0.7486, 0.1926)
O (0.2130, 0.0564, 0.3192)
O (0.0179, 0.2386, 0.7852)
O (0.8038, 0.9243, 0.6688)
O (0.6348, 0.7271, 0.2900)
O (0.2705, 0.3782, 0.2194)
O (0.3448, 0.2335, 0.6922)
O (0.8178, 0.6141, 0.8010)
O (0.8329, 0.8226, 0.4215)
O (0.1759, 0.1923, 0.0802)
O (0.1419, 0.1595, 0.5587)
O (0.8571, 0.8533, 0.9139)
O (0.8512, 0.5113, 0.3771)
O (0.4764, 0.1493, 0.1467)
O (0.4159, 0.7420, 0.0887)
O (0.2775, 0.6450, 0.3840)
O (0.6214, 0.2928, 0.9083)
O (0.7035, 0.3704, 0.6107)
O (0.3331, 0.5882, 0.9167)
O (0.4085, 0.6297, 0.5962)
O (0.6439, 0.4341, 0.1052)
O (0.1299, 0.4668, 0.6044)
O (0.2590, 0.8975, 0.9074)
O (0.1455, 0.7916, 0.5706)
O (0.8028, 0.1674, 0.0795)
O (0.8123, 0.1910, 0.4355)
O (0.5647, 0.8200, 0.8400)
O (0.5524, 0.3654, 0.4135)



Record 5
Here is a relaxed Ba2MgMo4P8O28 crystal from Materials Project. Energies are from PBE with a Hubbard U.

## Properties
- Density: 3660 kg/m³
- Energy above the most stable polymorph in this dataset: 19 meV per atom
- Symmetry: P1
- Crystal system: triclinic
- ΔH_f (0 K): -2608 meV/atom

Cell lengths 7.8144, 8.0361, 10.2803 Å; angles 79.21, 80.52, 88.81 degrees
Atoms (fractional coordinates):
Ba (0.9946, 0.5234, 0.9796)
Ba (0.5508, 0.9495, 0.4646)
Mg (0.2643, 0.3336, 0.4234)
Mo (0.0028, 0.0037, 0.4988)
Mo (0.9983, 0.9882, 0.0034)
Mo (0.4738, 0.5699, 0.2183)
Mo (0.5520, 0.4625, 0.7556)
P (0.8234, 0.7122, 0.2907)
P (0.2683, 0.1919, 0.1969)
P (0.1809, 0.2885, 0.7288)
P (0.7340, 0.8229, 0.7923)
P (0.7196, 0.3599, 0.4403)
P (0.6455, 0.2335, 0.0479)
P (0.2436, 0.6321, 0.5815)
P (0.3733, 0.7622, 0.9342)
O (0.9478, 0.7517, 0.1550)
O (0.2512, 0.1026, 0.3487)
O (0.0510, 0.2211, 0.8553)
O (0.7739, 0.9332, 0.6533)
O (0.6317, 0.7500, 0.2770)
O (0.2571, 0.3832, 0.2073)
O (0.3702, 0.2740, 0.7464)
O (0.7447, 0.6310, 0.7922)
O (0.8664, 0.7955, 0.4008)
O (0.1370, 0.1358, 0.1209)
O (0.1535, 0.2235, 0.6034)
O (0.8422, 0.8583, 0.8953)
O (0.8362, 0.5050, 0.3303)
O (0.4592, 0.1500, 0.1315)
O (0.3978, 0.7712, 0.0757)
O (0.2289, 0.5664, 0.4542)
O (0.6378, 0.2631, 0.8985)
O (0.7139, 0.3976, 0.5796)
O (0.3750, 0.5796, 0.9046)
O (0.4336, 0.6362, 0.6076)
O (0.6797, 0.3958, 0.0962)
O (0.1367, 0.4948, 0.7067)
O (0.2045, 0.8498, 0.9022)
O (0.1697, 0.8067, 0.5875)
O (0.7708, 0.0939, 0.0923)
O (0.8131, 0.1956, 0.4183)
O (0.5300, 0.8684, 0.8318)
O (0.5365, 0.3566, 0.3961)



What did the fourth record say?
Here is a relaxed Ba2MgMo4P8O28 crystal from Materials Project. Energies are from PBE with a Hubbard U.

## Properties
- Density: 3632 kg/m³
- Energy above the most stable polymorph in this dataset: 14 meV per atom
- Symmetry: P1
- Crystal system: triclinic
- ΔH_f (0 K): -2613 meV/atom

Cell lengths 7.9036, 7.9684, 10.3948 Å; angles 78.42, 79.40, 88.66 degrees
Atoms (fractional coordinates):
Ba (0.0052, 0.5081, 0.0523)
Ba (0.4881, 0.9865, 0.5411)
Mg (0.8266, 0.3891, 0.7558)
Mo (0.9929, 0.9913, 0.4877)
Mo (0.0235, 0.0130, 0.0024)
Mo (0.4661, 0.5469, 0.2483)
Mo (0.4666, 0.4514, 0.7692)
P (0.8192, 0.7176, 0.3153)
P (0.2727, 0.1938, 0.1947)
P (0.1644, 0.2621, 0.6631)
P (0.7754, 0.8023, 0.8066)
P (0.7252, 0.3580, 0.4619)
P (0.6389, 0.2626, 0.0580)
P (0.2465, 0.6372, 0.5325)
P (0.3875, 0.7610, 0.9463)
O (0.9596, 0.7486, 0.1926)
O (0.2130, 0.0564, 0.3192)
O (0.0179, 0.2386, 0.7852)
O (0.8038, 0.9243, 0.6688)
O (0.6348, 0.7271, 0.2900)
O (0.2705, 0.3782, 0.2194)
O (0.3448, 0.2335, 0.6922)
O (0.8178, 0.6141, 0.8010)
O (0.8329, 0.8226, 0.4215)
O (0.1759, 0.1923, 0.0802)
O (0.1419, 0.1595, 0.5587)
O (0.8571, 0.8533, 0.9139)
O (0.8512, 0.5113, 0.3771)
O (0.4764, 0.1493, 0.1467)
O (0.4159, 0.7420, 0.0887)
O (0.2775, 0.6450, 0.3840)
O (0.6214, 0.2928, 0.9083)
O (0.7035, 0.3704, 0.6107)
O (0.3331, 0.5882, 0.9167)
O (0.4085, 0.6297, 0.5962)
O (0.6439, 0.4341, 0.1052)
O (0.1299, 0.4668, 0.6044)
O (0.2590, 0.8975, 0.9074)
O (0.1455, 0.7916, 0.5706)
O (0.8028, 0.1674, 0.0795)
O (0.8123, 0.1910, 0.4355)
O (0.5647, 0.8200, 0.8400)
O (0.5524, 0.3654, 0.4135)



Repeat the third record exactly.
Here is a relaxed Ba2MgMo4P8O28 crystal from Materials Project. Energies are from PBE with a Hubbard U.

## Properties
- Density: 3615 kg/m³
- Energy above the most stable polymorph in this dataset: 4 meV per atom
- Symmetry: P1
- Crystal system: triclinic
- ΔH_f (0 K): -2622 meV/atom

Cell lengths 8.1141, 8.0244, 10.2476 Å; angles 77.90, 76.28, 84.68 degrees
Atoms (fractional coordinates):
Ba (0.9977, 0.5165, 0.9837)
Ba (0.4916, 0.0086, 0.5247)
Mg (0.6006, 0.9003, 0.0809)
Mo (0.0079, 0.0019, 0.4980)
Mo (0.0141, 0.0070, 0.0112)
Mo (0.4586, 0.5341, 0.2562)
Mo (0.5608, 0.4596, 0.7423)
P (0.8058, 0.7184, 0.2920)
P (0.2552, 0.2069, 0.2083)
P (0.2099, 0.2834, 0.7150)
P (0.7152, 0.8091, 0.7904)
P (0.7447, 0.3587, 0.4363)
P (0.6256, 0.2492, 0.0464)
P (0.2693, 0.6429, 0.5627)
P (0.3677, 0.7345, 0.9380)
O (0.9439, 0.7695, 0.1618)
O (0.2482, 0.0651, 0.3350)
O (0.0811, 0.2437, 0.8537)
O (0.7731, 0.9431, 0.6635)
O (0.6294, 0.7323, 0.2470)
O (0.2750, 0.3848, 0.2321)
O (0.3958, 0.2728, 0.7311)
O (0.7448, 0.6232, 0.7738)
O (0.7914, 0.8063, 0.4092)
O (0.1219, 0.2106, 0.1270)
O (0.1940, 0.1839, 0.6098)
O (0.7666, 0.8316, 0.9206)
O (0.8461, 0.5129, 0.3253)
O (0.4442, 0.1553, 0.1075)
O (0.4150, 0.7440, 0.0752)
O (0.2804, 0.6244, 0.4158)
O (0.6586, 0.2786, 0.8920)
O (0.7429, 0.3857, 0.5786)
O (0.3773, 0.5523, 0.9120)
O (0.4454, 0.6403, 0.5977)
O (0.6371, 0.4074, 0.1045)
O (0.1624, 0.4895, 0.6694)
O (0.1969, 0.8195, 0.9226)
O (0.1718, 0.8063, 0.5957)
O (0.7420, 0.0966, 0.0964)
O (0.8378, 0.1943, 0.4039)
O (0.5054, 0.8485, 0.8200)
O (0.5639, 0.3630, 0.4075)



The lowest energy above the most stable polymorph in this dataset belongs to which entry?
number 2